The following is a DFT calculation (r²SCAN) of a relaxed DyYCu2 crystal.

The total magnetization comes out at 0.0000 μB per atom.

The structure belongs to space group Fm-3m (No. 225); the cell edges are 6.904, 6.904 and 6.904 Å and the angles 90.00°, 90.00° and 90.00°. Symmetry generates all atoms from Dy at (0.000, 0.000, 0.000), Y at (0.000, 0.000, 0.500) and Cu at (0.250, 0.250, 0.250).

The following is a DFT calculation (r²SCAN) of a relaxed ErCu crystal.

The total magnetization comes out at 0.0000 μB per atom.

The structure belongs to space group Pm-3m (No. 221); the cell edges are 3.400, 3.400 and 3.400 Å and the angles 90.00°, 90.00° and 90.00°. Symmetry generates all atoms from Er at (0.000, 0.000, 0.000) and Cu at (0.500, 0.500, 0.500).

The following is a DFT calculation (r²SCAN) of a relaxed Er2Ga3Cu crystal.

The total magnetization comes out at 0.0000 μB per atom.

The structure belongs to space group P3m1 (No. 156); the cell edges are 4.3088, 4.3088 and 7.1018 Å and the angles 90.00°, 90.00° and 120.00°. Symmetry generates all atoms from Er at (0.0000, 0.0000, 0.0000), Er at (0.0000, 0.0000, 0.4690), Ga at (0.3333, 0.6667, 0.2157), Ga at (0.3333, 0.6667, 0.7833), Ga at (0.6667, 0.3333, 0.6874) and Cu at (0.6667, 0.3333, 0.2752).

The following is a DFT calculation (r²SCAN) of a relaxed Er3Cu4Ge4 crystal.

The total magnetization comes out at 0.0000 μB per atom.

The structure belongs to space group P-1 (No. 2); the cell edges are 4.142, 6.583 and 7.890 Å and the angles 114.65°, 105.22° and 90.00°. Symmetry generates all atoms from Er at (0.000, 0.000, 0.000), Er at (0.130, 0.631, 0.261), Cu at (0.331, 0.640, 0.660), Cu at (0.332, 0.020, 0.661), Ge at (0.216, 0.216, 0.433) and Ge at (0.500, 0.308, 0.000).

The following is a DFT calculation (r²SCAN) of a relaxed ErCu2Ge2 crystal.

The total magnetization comes out at 0.0000 μB per atom.

The structure belongs to space group I4/mmm (No. 139); the cell edges are 3.991, 3.991 and 10.266 Å and the angles 90.00°, 90.00° and 90.00°. Symmetry generates all atoms from Er at (0.000, 0.000, 0.000), Cu at (0.000, 0.500, 0.250) and Ge at (0.000, 0.000, 0.382).

The following is a DFT calculation (r²SCAN) of a relaxed ErCuGe crystal.

The total magnetization comes out at 0.0000 μB per atom.

The structure belongs to space group P6_3mc (No. 186); the cell edges are 4.2112, 4.2112 and 7.0899 Å and the angles 90.00°, 90.00° and 120.00°. Symmetry generates all atoms from Er at (0.0000, 0.0000, 0.0000), Cu at (0.3333, 0.6667, 0.2905) and Ge at (0.3333, 0.6667, 0.7230).

The following is a DFT calculation (r²SCAN) of a relaxed ErInCu crystal.

The total magnetization comes out at 0.0000 μB per atom.

The structure belongs to space group P-62m (No. 189); the cell edges are 7.3655, 7.3655 and 3.8908 Å and the angles 90.00°, 90.00° and 120.00°. Symmetry generates all atoms from Er at (0.0000, 0.5897, 0.0000), In at (0.0000, 0.2547, 0.5000), Cu at (0.0000, 0.0000, 0.0000) and Cu at (0.3333, 0.6667, 0.5000).

The following is a DFT calculation (r²SCAN) of a relaxed ErLuCu2 crystal.

The total magnetization comes out at 0.0005 μB per atom.

The structure belongs to space group Fm-3m (No. 225); the cell edges are 6.760, 6.760 and 6.760 Å and the angles 90.00°, 90.00° and 90.00°. Symmetry generates all atoms from Er at (0.000, 0.000, 0.000), Lu at (0.000, 0.000, 0.500) and Cu at (0.250, 0.250, 0.250).

Calculated density readings, ordered: 7.6, 9.8, 8.8, 9.3, 8.9, 9.3, 9.4, 10.1 g cm⁻³
E_form readings, ordered: -5.51, -6.56, -15.51, -15.84, -12.13, -17.54, -11.41, -6.88 kcal/mol of atoms
Final energy readings, ordered: -18.7362, -22.6707, -19.5101, -18.9280, -17.1985, -20.3088, -22.9450, -23.7232 eV per atom